[1]
A relaxed structure of MgFe2Sb4O12. Source: the Materials Project, functional PBE+U.

a = 4.962 Å, b = 4.962 Å, c = 9.894 Å
α = 90.00°, β = 90.00°, γ = 90.00°
Positions (direct):
Mg 0.000 0.000 0.000
Fe 0.000 0.500 0.747
Fe 0.500 0.000 0.253
Sb 0.000 0.500 0.115
Sb 0.000 0.500 0.431
Sb 0.500 0.000 0.569
Sb 0.500 0.000 0.885
O 0.188 0.687 0.271
O 0.191 0.709 0.913
O 0.200 0.700 0.576
O 0.291 0.191 0.087
O 0.300 0.200 0.424
O 0.313 0.188 0.729
O 0.687 0.812 0.729
O 0.700 0.800 0.424
O 0.709 0.809 0.087
O 0.800 0.300 0.576
O 0.809 0.291 0.913
O 0.812 0.313 0.271

**Corrected total energy (MP2020 scheme)**: -127.541 eV per formula unit
**M_tot**: 8.02 μB per formula unit
**Symmetry**: P-4, No. 81
**E_form**: -33.11 eV/f.u.
**Relative energy among the computed polymorphs**: 70.7 meV per atom

***

[2]
A relaxed structure of MgFe2Sb2O8. Source: the Materials Project, functional PBE+U.

a = 6.068 Å, b = 6.082 Å, c = 6.246 Å
α = 62.30°, β = 62.44°, γ = 66.79°
Positions (direct):
Mg 0.000 0.000 0.000
Fe 0.300 0.289 0.229
Fe 0.714 0.698 0.054
Sb 0.338 0.320 0.678
Sb 0.745 0.729 0.530
O 0.002 0.622 0.225
O 0.157 0.144 0.632
O 0.182 0.166 0.055
O 0.488 0.469 0.307
O 0.515 0.493 0.753
O 0.616 0.972 0.718
O 0.630 0.986 0.229
O 0.988 0.598 0.719

**Corrected total energy (MP2020 scheme)**: -89.711 eV per formula unit
**M_tot**: 8.00 μB per formula unit
**Symmetry**: P1, No. 1
**E_form**: -23.33 eV/f.u.
**Relative energy among the computed polymorphs**: 111.4 meV per atom

***

[3]
A relaxed structure of MgFeSbO4. Source: the Materials Project, functional PBE+U.

a = 3.186 Å, b = 6.634 Å, c = 8.825 Å
α = 90.00°, β = 90.00°, γ = 90.00°
Positions (direct):
Mg 0.000 0.000 0.000
Mg 0.000 0.500 0.500
Fe 0.500 0.000 0.281
Fe 0.500 0.500 0.781
Sb 0.000 0.000 0.666
Sb 0.000 0.500 0.166
O 0.000 0.185 0.181
O 0.000 0.315 0.681
O 0.000 0.685 0.681
O 0.000 0.815 0.181
O 0.500 0.000 0.508
O 0.500 0.000 0.861
O 0.500 0.500 0.008
O 0.500 0.500 0.361

**Corrected total energy (MP2020 scheme)**: -46.705 eV per formula unit
**M_tot**: 3.74 μB per formula unit
**Symmetry**: Amm2, No. 38
**E_form**: -12.71 eV/f.u.
**Relative energy among the computed polymorphs**: 43.8 meV per atom

***

[4]
A relaxed structure of MgFeSbO4. Source: the Materials Project, functional PBE+U.

a = 5.177 Å, b = 3.173 Å, c = 5.357 Å
α = 90.00°, β = 92.27°, γ = 90.00°
Positions (direct):
Mg 0.000 0.000 0.000
Fe 0.500 0.997 0.000
Sb 0.000 0.499 0.500
O 0.209 0.998 0.327
O 0.237 0.498 0.855
O 0.763 0.498 0.145
O 0.791 0.998 0.673

**Corrected total energy (MP2020 scheme)**: -47.012 eV per formula unit
**M_tot**: 3.54 μB per formula unit
**Symmetry**: P2, No. 3
**E_form**: -13.02 eV/f.u.
**Relative energy among the computed polymorphs**: 0.0 meV per atom

***

[5]
A relaxed structure of MgFe2Si2SbO9. Source: the Materials Project, functional PBE+U.

a = 5.282 Å, b = 5.291 Å, c = 8.379 Å
α = 95.19°, β = 96.32°, γ = 119.24°
Positions (direct):
Mg 0.000 0.000 0.000
Fe 0.337 0.663 0.931
Fe 0.660 0.343 0.935
Si 0.123 0.464 0.293
Si 0.466 0.128 0.294
Sb 0.913 0.912 0.661
O 0.035 0.382 0.095
O 0.269 0.244 0.807
O 0.309 0.309 0.361
O 0.320 0.816 0.366
O 0.398 0.056 0.095
O 0.677 0.989 0.813
O 0.678 0.663 0.069
O 0.819 0.321 0.372
O 0.958 0.650 0.811

**Corrected total energy (MP2020 scheme)**: -114.656 eV per formula unit
**M_tot**: 9.00 μB per formula unit
**Symmetry**: P1, No. 1
**E_form**: -36.60 eV/f.u.
**Relative energy among the computed polymorphs**: 0.0 meV per atom

***

[6]
A relaxed structure of MgFe2Si2SbO9. Source: the Materials Project, functional PBE+U.

a = 5.239 Å, b = 5.329 Å, c = 8.090 Å
α = 78.71°, β = 77.61°, γ = 61.22°
Positions (direct):
Mg 0.000 0.000 0.000
Fe 0.095 0.090 0.657
Fe 0.768 0.704 0.689
Si 0.515 0.767 0.335
Si 0.836 0.105 0.348
Sb 0.332 0.365 0.958
O 0.035 0.731 0.844
O 0.065 0.460 0.547
O 0.191 0.946 0.255
O 0.357 0.035 0.862
O 0.461 0.774 0.536
O 0.697 0.446 0.265
O 0.710 0.952 0.240
O 0.720 0.357 0.861
O 0.779 0.064 0.550

**Corrected total energy (MP2020 scheme)**: -112.401 eV per formula unit
**M_tot**: 9.00 μB per formula unit
**Symmetry**: P1, No. 1
**E_form**: -34.35 eV/f.u.
**Relative energy among the computed polymorphs**: 150.4 meV per atom

***

[7]
A relaxed structure of MgFe2Se2O10. Source: the Materials Project, functional PBE+U.

a = 5.598 Å, b = 5.598 Å, c = 7.016 Å
α = 104.65°, β = 104.65°, γ = 100.66°
Positions (direct):
Mg 0.000 0.000 0.000
Fe 0.685 0.307 0.745
Fe 0.693 0.315 0.255
Se 0.043 0.957 0.500
Se 0.352 0.648 0.000
O 0.057 0.611 0.838
O 0.341 0.035 0.660
O 0.346 0.412 0.108
O 0.389 0.943 0.162
O 0.588 0.654 0.892
O 0.622 0.378 0.500
O 0.771 0.229 0.000
O 0.873 0.009 0.668
O 0.965 0.659 0.340
O 0.991 0.127 0.332

**Corrected total energy (MP2020 scheme)**: -97.372 eV per formula unit
**M_tot**: 10.00 μB per formula unit
**Symmetry**: C2, No. 5
**E_form**: -22.36 eV/f.u.

***

[8]
A relaxed structure of SrMgFe2Se4O12. Source: the Materials Project, functional PBE+U.

a = 7.314 Å, b = 5.630 Å, c = 7.397 Å
α = 90.00°, β = 92.60°, γ = 90.00°
Positions (direct):
Sr 0.000 0.000 0.000
Mg 0.814 0.500 0.257
Fe 0.457 0.500 0.991
Fe 0.977 0.000 0.528
Se 0.188 0.500 0.398
Se 0.388 0.000 0.780
Se 0.576 0.000 0.238
Se 0.779 0.500 0.643
O 0.035 0.275 0.310
O 0.035 0.725 0.310
O 0.254 0.000 0.583
O 0.292 0.224 0.909
O 0.292 0.776 0.909
O 0.369 0.500 0.265
O 0.574 0.500 0.739
O 0.677 0.238 0.121
O 0.677 0.762 0.121
O 0.698 0.000 0.438
O 0.899 0.259 0.730
O 0.899 0.741 0.730

**Corrected total energy (MP2020 scheme)**: -128.438 eV per formula unit
**M_tot**: 8.00 μB per formula unit
**Symmetry**: Pm, No. 6
**E_form**: -34.85 eV/f.u.
**Relative energy among the computed polymorphs**: 0.0 meV per atom

***

[9]
A relaxed structure of SrMgFe2Se4O12. Source: the Materials Project, functional PBE+U.

a = 6.823 Å, b = 5.949 Å, c = 7.314 Å
α = 90.00°, β = 92.37°, γ = 90.00°
Positions (direct):
Sr 0.000 0.000 0.000
Mg 0.000 0.500 0.000
Fe 0.000 0.500 0.500
Fe 0.500 0.000 0.000
Se 0.221 0.000 0.604
Se 0.379 0.500 0.200
Se 0.621 0.500 0.800
Se 0.779 0.000 0.396
O 0.092 0.224 0.697
O 0.092 0.776 0.697
O 0.250 0.289 0.073
O 0.250 0.711 0.073
O 0.282 0.500 0.407
O 0.437 0.000 0.738
O 0.563 0.000 0.262
O 0.718 0.500 0.593
O 0.750 0.289 0.927
O 0.750 0.711 0.927
O 0.908 0.224 0.303
O 0.908 0.776 0.303

**Corrected total energy (MP2020 scheme)**: -126.715 eV per formula unit
**M_tot**: 8.00 μB per formula unit
**Symmetry**: P2/m, No. 10
**E_form**: -33.13 eV/f.u.
**Relative energy among the computed polymorphs**: 86.2 meV per atom

***

[10]
A relaxed structure of MgFeSi4O10. Source: the Materials Project, functional PBE+U.

a = 7.333 Å, b = 7.333 Å, c = 14.906 Å
α = 90.00°, β = 90.00°, γ = 90.00°
Positions (direct):
Mg 0.250 0.750 0.000
Mg 0.250 0.750 0.500
Mg 0.750 0.250 0.000
Mg 0.750 0.250 0.500
Fe 0.250 0.250 0.069
Fe 0.250 0.250 0.569
Fe 0.750 0.750 0.431
Fe 0.750 0.750 0.931
Si 0.008 0.588 0.145
Si 0.008 0.912 0.645
Si 0.088 0.508 0.355
Si 0.088 0.992 0.855
Si 0.412 0.508 0.855
Si 0.412 0.992 0.355
Si 0.492 0.588 0.645
Si 0.492 0.912 0.145
Si 0.508 0.088 0.855
Si 0.508 0.412 0.355
Si 0.588 0.008 0.645
Si 0.588 0.492 0.145
Si 0.912 0.008 0.145
Si 0.912 0.492 0.645
Si 0.992 0.088 0.355
Si 0.992 0.412 0.855
O 0.001 0.192 0.875
O 0.001 0.308 0.375
O 0.018 0.663 0.425
O 0.018 0.837 0.925
O 0.054 0.554 0.250
O 0.054 0.946 0.750
O 0.163 0.518 0.075
O 0.163 0.982 0.575
O 0.192 0.001 0.375
O 0.192 0.499 0.875
O 0.308 0.001 0.875
O 0.308 0.499 0.375
O 0.337 0.518 0.575
O 0.337 0.982 0.075
O 0.446 0.554 0.750
O 0.446 0.946 0.250
O 0.482 0.663 0.925
O 0.482 0.837 0.425
O 0.499 0.192 0.375
O 0.499 0.308 0.875
O 0.501 0.692 0.125
O 0.501 0.808 0.625
O 0.518 0.163 0.575
O 0.518 0.337 0.075
O 0.554 0.054 0.750
O 0.554 0.446 0.250
O 0.663 0.018 0.925
O 0.663 0.482 0.425
O 0.692 0.501 0.625
O 0.692 0.999 0.125
O 0.808 0.501 0.125
O 0.808 0.999 0.625
O 0.837 0.018 0.425
O 0.837 0.482 0.925
O 0.946 0.054 0.250
O 0.946 0.446 0.750
O 0.982 0.163 0.075
O 0.982 0.337 0.575
O 0.999 0.692 0.625
O 0.999 0.808 0.125

**Corrected total energy (MP2020 scheme)**: -128.984 eV per formula unit
**M_tot**: 4.01 μB per formula unit
**Symmetry**: P4/ncc, No. 130
**E_form**: -47.73 eV/f.u.

***

[11]
A relaxed structure of Mg3FeSi2O8. Source: the Materials Project, functional PBE+U.

a = 6.098 Å, b = 4.805 Å, c = 10.425 Å
α = 90.00°, β = 90.00°, γ = 90.00°
Positions (direct):
Mg 0.000 0.243 0.000
Mg 0.000 0.757 0.500
Mg 0.250 0.250 0.722
Mg 0.250 0.750 0.222
Mg 0.750 0.250 0.722
Mg 0.750 0.750 0.222
Fe 0.500 0.264 0.444
Fe 0.500 0.736 0.944
Si 0.000 0.322 0.315
Si 0.000 0.678 0.815
Si 0.500 0.175 0.127
Si 0.500 0.825 0.627
O 0.000 0.018 0.814
O 0.000 0.471 0.170
O 0.000 0.529 0.670
O 0.000 0.982 0.314
O 0.213 0.473 0.386
O 0.213 0.527 0.886
O 0.281 0.031 0.060
O 0.281 0.969 0.560
O 0.500 0.023 0.272
O 0.500 0.485 0.634
O 0.500 0.515 0.134
O 0.500 0.977 0.772
O 0.719 0.031 0.060
O 0.719 0.969 0.560
O 0.787 0.473 0.386
O 0.787 0.527 0.886

**Corrected total energy (MP2020 scheme)**: -105.578 eV per formula unit
**M_tot**: 4.00 μB per formula unit
**Symmetry**: Pmc2_1, No. 26
**E_form**: -41.87 eV/f.u.

***

[12]
A relaxed structure of MgFeSi2O4. Source: the Materials Project, functional PBE+U.

a = 2.908 Å, b = 9.588 Å, c = 8.752 Å
α = 90.00°, β = 90.00°, γ = 90.00°
Positions (direct):
Mg 0.000 0.171 0.000
Mg 0.000 0.829 0.500
Fe 0.500 0.320 0.486
Fe 0.500 0.680 0.986
Si 0.000 0.397 0.826
Si 0.000 0.603 0.326
Si 0.500 0.101 0.325
Si 0.500 0.899 0.825
O 0.000 0.004 0.851
O 0.000 0.367 0.641
O 0.000 0.633 0.141
O 0.000 0.996 0.351
O 0.500 0.132 0.139
O 0.500 0.498 0.351
O 0.500 0.502 0.851
O 0.500 0.868 0.639

**Corrected total energy (MP2020 scheme)**: -57.481 eV per formula unit
**M_tot**: 4.00 μB per formula unit
**Symmetry**: Pmc2_1, No. 26
**E_form**: -16.77 eV/f.u.

***

What did the fourth record say?
A relaxed structure of MgFeSbO4. Source: the Materials Project, functional PBE+U.

a = 5.177 Å, b = 3.173 Å, c = 5.357 Å
α = 90.00°, β = 92.27°, γ = 90.00°
Positions (direct):
Mg 0.000 0.000 0.000
Fe 0.500 0.997 0.000
Sb 0.000 0.499 0.500
O 0.209 0.998 0.327
O 0.237 0.498 0.855
O 0.763 0.498 0.145
O 0.791 0.998 0.673

**Corrected total energy (MP2020 scheme)**: -47.012 eV per formula unit
**M_tot**: 3.54 μB per formula unit
**Symmetry**: P2, No. 3
**E_form**: -13.02 eV/f.u.
**Relative energy among the computed polymorphs**: 0.0 meV per atom

***

Which of these has the highest corrected total energy (MP2020 scheme)?
number 3